Compound: Ca3Si6O22
Source: the Materials Project
Functional: PBE
Structure: optimized geometry

Formation energy from the elements   -2.18 eV/atom

Cell: 7.3340 7.4912 10.0054 Å, 68.17 83.70 74.83°
With the nearest neighbours (Å) after each atom.
Fractional positions:
O1 0.8412 0.7139 0.1882  2 Si 1.63
O2 0.7192 0.5274 0.6656  1 O 1.23
O3 0.4597 0.4555 0.4857  1 O 1.29
O4 0.0021 0.1034 0.7457  2 Si 1.65
O5 0.4042 0.8771 0.4635  1 O 1.23
O6 0.6421 0.0918 0.0783  1 Si 1.62
O7 0.8935 0.9734 0.2905  2 Si 1.64-1.65
O8 0.6839 0.5228 0.0668  1 Si 1.62
O9 0.0848 0.7228 0.7652  2 Si 1.63-1.65
O10 0.3127 0.9741 0.3530  1 O 1.23
O11 0.0663 0.4989 0.0500  2 Si 1.64-1.68
O12 0.5975 0.1938 0.3809  1 Si 1.62
O13 0.3840 0.4602 0.9040  1 Si 1.63
O14 0.9302 0.0090 0.5324  2 Si 1.62-1.63
O15 0.3393 0.9952 0.8765  1 Si 1.61
O16 0.7248 0.9257 0.7791  1 Si 1.61
O17 0.0954 0.3389 0.8478  2 Si 1.64-1.65
O18 0.2936 0.4908 0.4365  2 O 1.29-1.31
O19 0.8303 0.5530 0.5624  1 O 1.23
O20 0.0164 0.9948 0.0292  2 Si 1.62-1.65
O21 0.2809 0.5574 0.2955  1 O 1.31
O22 0.9170 0.3227 0.2967  2 Si 1.64-1.65
Ca1 0.5529 0.1742 0.8532  4 O 2.23-2.38
Ca2 0.5352 0.7200 0.8592  4 O 2.22-2.36
Ca3 0.4642 0.3303 0.1636  4 O 2.24-2.49
Si1 0.9300 0.9380 0.7063  4 O 1.61-1.65
Si2 0.8423 0.9461 0.1452  4 O 1.62-1.65
Si3 0.1550 0.5063 0.8908  4 O 1.63-1.64
Si4 0.1179 0.1015 0.8783  4 O 1.61-1.65
Si5 0.8663 0.5171 0.1480  4 O 1.62-1.68
Si6 0.8260 0.1286 0.3774  4 O 1.62-1.65

---

Compound: Ca2SiO5
Source: the Materials Project
Functional: PBE
Structure: optimized geometry

Formation energy from the elements   -2.80 eV/atom
E above lowest polymorph   33 meV/atom

Cell: 7.3258 10.6597 10.9344 Å, 90.00 90.00 90.00°
With the nearest neighbours (Å) after each atom.
Fractional positions:
O1 0.7359 0.6823 0.8906  1 Si 1.63
O2 0.7641 0.3177 0.3906  1 Si 1.63
O3 0.2360 0.3115 0.3900  1 Si 1.66
O4 0.2359 0.6823 0.6094  1 Si 1.63
O5 0.2640 0.8115 0.3900  1 Si 1.66
O6 0.5505 0.3828 0.9075  1 Si 1.60
O7 0.4164 0.0894 0.0590  1 O 1.52, 1 Si 1.69
O8 0.9495 0.6172 0.4075  1 Si 1.60
O9 0.5269 0.5753 0.3075  1 O 1.52
O10 0.9495 0.8828 0.9075  1 Si 1.60
O11 0.2641 0.3177 0.1094  1 Si 1.63
O12 0.7360 0.3115 0.1100  1 Si 1.66
O13 0.4495 0.6172 0.0925  1 Si 1.60
O14 0.7359 0.8177 0.3906  1 Si 1.63
O15 0.7641 0.1823 0.8906  1 Si 1.63
O16 0.2641 0.1823 0.6094  1 Si 1.63
O17 0.9164 0.0894 0.4410  1 O 1.52, 1 Si 1.69
O18 0.0505 0.3828 0.5925  1 Si 1.60
O19 0.4164 0.4106 0.5590  1 O 1.52, 1 Si 1.69
O20 0.0269 0.9247 0.6925  1 O 1.52
O21 0.5836 0.9106 0.9410  1 O 1.52, 1 Si 1.69
O22 0.0836 0.5894 0.0590  1 O 1.52, 1 Si 1.69
O23 0.5505 0.1172 0.4075  1 Si 1.60
O24 0.7640 0.8115 0.1100  1 Si 1.66
O25 0.5836 0.5894 0.4410  1 O 1.52, 1 Si 1.69
O26 0.2640 0.6885 0.8900  1 Si 1.66
O27 0.9731 0.4247 0.8075  1 O 1.52
O28 0.5269 0.9247 0.8075  1 O 1.52
O29 0.9731 0.0753 0.3075  1 O 1.52
O30 0.2360 0.1885 0.8900  1 Si 1.66
O31 0.0269 0.5753 0.1925  1 O 1.52
O32 0.4731 0.4247 0.6925  1 O 1.52
O33 0.7640 0.6885 0.6100  1 Si 1.66
O34 0.2359 0.8177 0.1094  1 Si 1.63
O35 0.0836 0.9106 0.5590  1 O 1.52, 1 Si 1.69
O36 0.7360 0.1885 0.6100  1 Si 1.66
O37 0.4731 0.0753 0.1925  1 O 1.52
O38 0.0505 0.1172 0.0925  1 Si 1.60
O39 0.9164 0.4106 0.9410  1 O 1.52, 1 Si 1.69
O40 0.4495 0.8828 0.5925  1 Si 1.60
Ca1 0.9994 0.8043 0.2605  6 O 2.38-2.59
Ca2 0.2551 0.0664 0.4225  4 O 2.24-2.50
Ca3 0.4994 0.6957 0.7395  6 O 2.38-2.59
Ca4 0.7551 0.0664 0.0775  4 O 2.24-2.50
Ca5 0.4994 0.8043 0.2395  6 O 2.38-2.59
Ca6 0.0006 0.3043 0.2395  6 O 2.38-2.59
Ca7 0.2551 0.4336 0.9225  4 O 2.24-2.50
Ca8 0.2449 0.5664 0.4225  4 O 2.24-2.50
Ca9 0.7449 0.9336 0.5775  4 O 2.24-2.50
Ca10 0.7551 0.4336 0.5775  4 O 2.24-2.50
Ca11 0.0006 0.1957 0.7395  6 O 2.38-2.59
Ca12 0.2449 0.9336 0.9225  4 O 2.24-2.50
Ca13 0.5006 0.1957 0.7605  6 O 2.38-2.59
Ca14 0.9994 0.6957 0.7605  6 O 2.38-2.59
Ca15 0.7449 0.5664 0.0775  4 O 2.24-2.50
Ca16 0.5006 0.3043 0.2605  6 O 2.38-2.59
Si1 0.7316 0.3167 0.9586  4 O 1.60-1.69
Si2 0.2316 0.1833 0.0414  4 O 1.60-1.69
Si3 0.7316 0.1833 0.4586  4 O 1.60-1.69
Si4 0.2684 0.8167 0.5414  4 O 1.60-1.69
Si5 0.2684 0.6833 0.0414  4 O 1.60-1.69
Si6 0.7684 0.6833 0.4586  4 O 1.60-1.69
Si7 0.7684 0.8167 0.9586  4 O 1.60-1.69
Si8 0.2316 0.3167 0.5414  4 O 1.60-1.69

---

Compound: Ca3SiO
Source: the Materials Project
Functional: PBE
Structure: optimized geometry

Formation energy from the elements   -1.61 eV/atom

Cell: 6.6779 6.6964 9.4570 Å, 90.00 90.00 90.00°
With the nearest neighbours (Å) after each atom.
Fractional positions:
Si1 0.5094 0.4986 0.2500  9 Ca 3.09-3.43
Si2 0.9906 0.9986 0.7500  9 Ca 3.09-3.43
Si3 0.0094 0.0014 0.2500  9 Ca 3.09-3.43
Si4 0.4906 0.5014 0.7500  9 Ca 3.09-3.43
Ca1 0.7695 0.2304 0.4794  2 O 2.38
Ca2 0.4971 0.9596 0.2500  2 O 2.38
Ca3 0.7695 0.2304 0.0206  2 O 2.38
Ca4 0.0029 0.4596 0.7500  2 O 2.38
Ca5 0.2695 0.2696 0.0206  2 O 2.38
Ca6 0.2695 0.2696 0.4794  2 O 2.38
Ca7 0.7305 0.7304 0.5206  2 O 2.38
Ca8 0.2305 0.7696 0.5206  2 O 2.38
Ca9 0.7305 0.7304 0.9794  2 O 2.38
Ca10 0.9971 0.5404 0.2500  2 O 2.38
Ca11 0.2305 0.7696 0.9794  2 O 2.38
Ca12 0.5029 0.0404 0.7500  2 O 2.38
O1 0.5000 0.0000 0.5000  6 Ca 2.38
O2 0.5000 0.0000 0.0000  6 Ca 2.38
O3 0.0000 0.5000 0.5000  6 Ca 2.38
O4 0.0000 0.5000 0.0000  6 Ca 2.38

---

Compound: Ca3SiO
Source: the Materials Project
Functional: PBE
Structure: optimized geometry

Formation energy from the elements   -1.61 eV/atom

Cell: 6.6753 6.6959 9.4453 Å, 90.00 90.00 90.00°
With the nearest neighbours (Å) after each atom.
Fractional positions:
Ca1 0.7570 0.2431 0.4831  2 O 2.37
Ca2 0.4997 0.9666 0.2500  2 O 2.37
Ca3 0.2570 0.2569 0.0169  2 O 2.37
Ca4 0.2430 0.7569 0.5169  2 O 2.37
Ca5 0.7430 0.7431 0.5169  2 O 2.37
Ca6 0.2430 0.7569 0.9831  2 O 2.37
Ca7 0.7430 0.7431 0.9831  2 O 2.37
Ca8 0.5003 0.0334 0.7500  2 O 2.37
Ca9 0.9997 0.5334 0.2500  2 O 2.37
Ca10 0.0003 0.4666 0.7500  2 O 2.37
Ca11 0.7570 0.2431 0.0169  2 O 2.37
Ca12 0.2570 0.2569 0.4831  2 O 2.37
O1 0.5000 0.0000 0.0000  6 Ca 2.37
O2 0.5000 0.0000 0.5000  6 Ca 2.37
O3 0.0000 0.5000 0.0000  6 Ca 2.37
O4 0.0000 0.5000 0.5000  6 Ca 2.37
Si1 0.0025 0.0004 0.2500  9 Ca 3.13-3.40
Si2 0.5025 0.4996 0.2500  9 Ca 3.13-3.40
Si3 0.4975 0.5004 0.7500  9 Ca 3.13-3.40
Si4 0.9975 0.9996 0.7500  9 Ca 3.13-3.40

---

Compound: Ca5Si6O22
Source: the Materials Project
Functional: PBE
Structure: optimized geometry

Formation energy from the elements   -2.37 eV/atom
E above lowest polymorph   0 meV/atom

Cell: 6.7425 6.7425 23.1363 Å, 83.78 83.78 66.78°
With the nearest neighbours (Å) after each atom.
Fractional positions:
O1 0.2285 0.6246 0.3423  2 Si 1.64-1.65
O2 0.1099 0.3430 0.0501  1 Si 1.61
O3 0.1207 0.8600 0.5554  1 Si 1.62
O4 0.4129 0.1306 0.9428  1 Si 1.63
O5 0.5219 0.2782 0.3880  2 Si 1.64-1.65
O6 0.1371 0.0455 0.6543  2 Si 1.67-1.68
O7 0.0455 0.1371 0.1543  2 Si 1.67-1.68
O8 0.6370 0.3740 0.9464  1 Si 1.63
O9 0.6607 0.7330 0.2905  1 O 1.23
O10 0.3928 0.7755 0.1575  2 Si 1.65-1.66
O11 0.1306 0.4129 0.4428  1 Si 1.63
O12 0.8958 0.6416 0.9486  1 Si 1.63
O13 0.6416 0.8958 0.4486  1 Si 1.63
O14 0.6246 0.2285 0.8423  2 Si 1.64-1.65
O15 0.2782 0.5219 0.8880  2 Si 1.64-1.65
O16 0.6506 0.3321 0.2503  1 Ca 2.39
O17 0.0938 0.2685 0.2825  1 O 2.07
O18 0.6058 0.8511 0.0544  1 Si 1.63
O19 0.1527 0.6052 0.6348  1 O 2.34, 1 Ca 2.43
O20 0.4804 0.7458 0.6184  2 Si 1.68-1.69
O21 0.1366 0.8692 0.9519  1 Si 1.64
O22 0.3740 0.6370 0.4464  1 Si 1.63
O23 0.7391 0.0100 0.6562  1 Si 1.61
O24 0.6017 0.3890 0.5554  1 Si 1.62
O25 0.6052 0.1527 0.1348  1 O 2.34, 1 Ca 2.43
O26 0.8511 0.6058 0.5544  1 Si 1.63
O27 0.7755 0.3928 0.6575  2 Si 1.65-1.66
O28 0.0100 0.7391 0.1562  1 Si 1.61
O29 0.9683 0.8639 0.8494  2 Si 1.62-1.64
O30 0.6212 0.7141 0.8364  1 O 1.23
O31 0.8600 0.1207 0.0554  1 Si 1.62
O32 0.3430 0.1099 0.5501  1 Si 1.61
O33 0.3890 0.6017 0.0554  1 Si 1.62
O34 0.0106 0.2465 0.8410  1 Si 1.65
O35 0.8639 0.9683 0.3494  2 Si 1.62-1.64
O36 0.7141 0.6212 0.3364  1 O 1.23
O37 0.2465 0.0106 0.3410  1 Si 1.65
O38 0.8815 0.1058 0.7495  2 Si 1.62-1.63
O39 0.2685 0.0938 0.7825  1 O 2.07
O40 0.8692 0.1366 0.4519  1 Si 1.64
O41 0.7330 0.6607 0.7905  1 O 1.23
O42 0.1058 0.8815 0.2495  2 Si 1.62-1.63
O43 0.7458 0.4804 0.1184  2 Si 1.68-1.69
O44 0.3321 0.6506 0.7503  1 Ca 2.39
Si1 0.9449 0.2611 0.0914  4 O 1.61-1.68
Si2 0.3082 0.4934 0.4053  4 O 1.63-1.65
Si3 0.1321 0.8752 0.1791  4 O 1.61-1.68
Si4 0.6842 0.5210 0.5950  4 O 1.62-1.69
Si5 0.8794 0.1093 0.8197  4 O 1.62-1.65
Si6 0.2611 0.9449 0.5914  4 O 1.61-1.68
Si7 0.0654 0.7301 0.9105  4 O 1.63-1.65
Si8 0.8752 0.1321 0.6791  4 O 1.61-1.68
Si9 0.7301 0.0654 0.4105  4 O 1.63-1.65
Si10 0.4934 0.3082 0.9053  4 O 1.63-1.65
Si11 0.1093 0.8794 0.3197  4 O 1.62-1.65
Si12 0.5210 0.6842 0.0950  4 O 1.62-1.69
Ca1 0.8950 0.4909 0.2057  4 O 2.26-2.39
Ca2 0.4909 0.8950 0.7057  4 O 2.26-2.39
Ca3 0.7546 0.5200 0.4624  6 O 2.34-2.51
Ca4 0.0236 0.2571 0.9461  5 O 2.39-2.45
Ca5 0.7367 0.9989 0.5472  7 O 2.40-2.67
Ca6 0.9989 0.7367 0.0472  7 O 2.40-2.67
Ca7 0.4876 0.2294 0.0364  7 O 2.35-2.49
Ca8 0.2571 0.0236 0.4461  5 O 2.39-2.45
Ca9 0.2294 0.4876 0.5364  7 O 2.35-2.49
Ca10 0.5200 0.7546 0.9624  6 O 2.34-2.51